A plane-wave DFT calculation with r2SCAN was carried out for an optimized crystal structure of Y3TaO7.

Cell: 6.4493 6.4493 7.4366 Å, 90.00 90.00 108.90°
Fractional coordinates of all 22 atoms:
Y1 0.0311 0.0311 0.0000
Y2 0.0346 0.4998 0.2578
Y3 0.4998 0.0346 0.7422
Y4 0.5002 0.9654 0.2422
Y5 0.9654 0.5002 0.7578
Y6 0.9689 0.9689 0.5000
Ta1 0.4983 0.4983 0.5000
Ta2 0.5017 0.5017 0.0000
O1 0.1289 0.8711 0.7500
O2 0.1394 0.8606 0.2500
O3 0.1721 0.4181 0.9757
O4 0.1903 0.4471 0.5421
O5 0.4181 0.1721 0.0243
O6 0.4331 0.5669 0.2500
O7 0.4471 0.1903 0.4579
O8 0.5529 0.8097 0.9579
O9 0.5669 0.4331 0.7500
O10 0.5819 0.8279 0.5243
O11 0.8097 0.5529 0.0421
O12 0.8279 0.5819 0.4757
O13 0.8606 0.1394 0.7500
O14 0.8711 0.1289 0.2500

Calculated formation energy in eV/atom: -3.735
Space-group type: No. 20